No. 1
LiSn2P3O12: optimized geometry, PBE.

## Properties
Formation energy from the elements ... -2526 meV per atom
Magnetic moment ... 0.000 μB/f.u.
Energy above the lowest structure with this stoichiometry ... 3 meV/atom

Cell lengths 8.5300, 9.1437, 14.7091 Å; angles 105.37, 90.26, 117.64 degrees
Closest atoms and distances in Å follow each position.
Space group P-1 (No. 2)
Inequivalent atoms, fractional coordinates:
Li1 0.0596 0.3767 0.1216 [2 per cell]  3 O 1.98-2.07
Li2 0.4017 0.6260 0.6560 [2 per cell]  4 O 1.98-2.15
Sn1 0.0165 0.5442 0.6708 [2 per cell]  6 O 2.03-2.11
Sn2 0.2194 0.9321 0.0707 [2 per cell]  6 O 2.04-2.12
Sn3 0.2818 0.0645 0.4292 [2 per cell]  6 O 2.03-2.11
Sn4 0.4708 0.4473 0.8250 [2 per cell]  6 O 2.03-2.13
P1 0.1689 0.2528 0.6236 [2 per cell]  4 O 1.52-1.58
P2 0.2294 0.2492 0.9821 [2 per cell]  4 O 1.53-1.58
P3 0.2303 0.2473 0.2677 [2 per cell]  4 O 1.53-1.57
P4 0.2696 0.7470 0.2281 [2 per cell]  4 O 1.53-1.58
P5 0.2711 0.7538 0.5219 [2 per cell]  4 O 1.53-1.57
P6 0.3375 0.7476 0.8724 [2 per cell]  4 O 1.53-1.56
O1 0.0115 0.9116 0.4025 [2 per cell]  1 P 1.52
O2 0.0511 0.2363 0.9472 [2 per cell]  1 P 1.54
O3 0.0840 0.5881 0.2292 [2 per cell]  1 P 1.58
O4 0.0896 0.3056 0.2528 [2 per cell]  1 P 1.56
O5 0.1267 0.7025 0.5876 [2 per cell]  1 P 1.54
O6 0.1539 0.4124 0.6117 [2 per cell]  1 P 1.58
O7 0.1755 0.0775 0.1892 [2 per cell]  1 P 1.53
O8 0.1959 0.7643 0.9347 [2 per cell]  1 P 1.56
O9 0.1988 0.0740 0.9896 [2 per cell]  1 P 1.53
O10 0.2128 0.6141 0.4235 [2 per cell]  1 P 1.55
O11 0.2408 0.2245 0.3671 [2 per cell]  1 P 1.54
O12 0.2432 0.2934 0.7282 [2 per cell]  1 P 1.54
O13 0.2537 0.7666 0.1281 [2 per cell]  1 P 1.54
O14 0.2609 0.6965 0.7652 [2 per cell]  1 P 1.56
O15 0.2875 0.3881 0.0834 [2 per cell]  1 P 1.58
O16 0.3015 0.2347 0.5568 [2 per cell]  1 P 1.54
O17 0.3079 0.9123 0.3064 [2 per cell]  1 P 1.53
O18 0.3133 0.9305 0.5126 [2 per cell]  1 P 1.53
O19 0.3707 0.3060 0.9168 [2 per cell]  1 P 1.53
O20 0.3706 0.6064 0.8923 [2 per cell]  1 P 1.54
O21 0.4206 0.7030 0.2413 [2 per cell]  1 P 1.54
O22 0.4235 0.3908 0.2642 [2 per cell]  1 P 1.57
O23 0.4448 0.7683 0.5691 [2 per cell]  1 P 1.57
O24 0.4923 0.0762 0.1033 [2 per cell]  1 P 1.53


No. 2
V12GaGe2S24: optimized geometry, PBE.

## Properties
Formation energy from the elements ... -1172 meV per atom
Magnetic moment ... 13.000 μB/f.u.

Cell lengths 6.8720, 20.5941, 9.7056 Å; angles 90.00, 90.00, 90.00 degrees
Closest atoms and distances in Å follow each position.
Space group Imm2 (No. 44)
Inequivalent atoms, fractional coordinates:
V1 0.0000 0.0693 0.0000 [4 per cell]  6 S 2.29-2.56
V2 0.0000 0.2641 0.0013 [4 per cell]  4 S 2.29-2.56
V3 0.0000 0.4033 0.0007 [4 per cell]  6 S 2.29-2.56
V4 0.2075 0.0000 0.2099 [4 per cell]  6 S 2.29-2.56
V5 0.2084 0.3335 0.2087 [8 per cell]  4 S 2.29-2.55
Ga1 0.0000 0.0000 0.6045 [2 per cell]  4 S 2.31-2.32
Ge1 0.0000 0.3334 0.6051 [4 per cell]  4 S 2.29
S1 0.0000 0.0864 0.2334 [4 per cell]  3 V 2.29
S2 0.0000 0.0917 0.7427 [4 per cell]  1 Ga 2.32, 3 V 2.54-2.55
S3 0.0000 0.2425 0.7414 [4 per cell]  1 Ge 2.29, 3 V 2.56
S4 0.0000 0.2473 0.2342 [4 per cell]  3 V 2.29
S5 0.0000 0.4196 0.2338 [4 per cell]  3 V 2.29
S6 0.0000 0.4241 0.7406 [4 per cell]  1 Ge 2.29
S7 0.2255 0.5000 0.9673 [4 per cell]  1 Ga 2.31, 3 V 2.54
S8 0.2277 0.1668 0.9686 [8 per cell]  1 Ge 2.29, 3 V 2.56
S9 0.2412 0.5000 0.4765 [4 per cell]  3 V 2.29
S10 0.2417 0.1665 0.4759 [8 per cell]  3 V 2.29-2.30


No. 3
ZrBeO3: optimized geometry, PBE.

## Properties
Formation energy from the elements ... -2867 meV per atom
Magnetic moment ... 0.000 μB/f.u.

Cell lengths 3.4692, 3.4692, 3.4692 Å; angles 90.00, 90.00, 90.00 degrees
Closest atoms and distances in Å follow each position.
Space group Pm-3m (No. 221)
Inequivalent atoms, fractional coordinates:
Zr1 0.0000 0.0000 0.0000 [1 per cell]  12 O 2.45
Be1 0.5000 0.5000 0.5000 [1 per cell]  6 O 1.73
O1 0.0000 0.5000 0.5000 [3 per cell]  2 Be 1.73


No. 4
Ca2HgPb: optimized geometry, PBE.

## Properties
Formation energy from the elements ... -598 meV per atom

Cell lengths 7.7448, 7.7448, 7.7448 Å; angles 90.00, 90.00, 90.00 degrees
Closest atoms and distances in Å follow each position.
Space group Fm-3m (No. 225)
Inequivalent atoms, fractional coordinates:
Ca1 0.2500 0.2500 0.2500 [8 per cell]  4 Hg 3.35, 4 Pb 3.35
Hg1 0.0000 0.0000 0.0000 [4 per cell]  8 Ca 3.35
Pb1 0.0000 0.0000 0.5000 [4 per cell]  8 Ca 3.35


No. 5
Rb2Zn3GeAs4: optimized geometry, PBE.

## Properties
Formation energy from the elements ... -315 meV per atom
Magnetic moment ... 0.000 μB/f.u.

Cell lengths 5.8898, 14.9109, 5.8827 Å; angles 90.00, 90.00, 90.00 degrees
Closest atoms and distances in Å follow each position.
Space group C222 (No. 21)
Inequivalent atoms, fractional coordinates:
Rb1 0.2500 0.2500 0.2491 [4 per cell]  8 As 3.63-3.71
Zn1 0.0000 0.0000 0.0000 [2 per cell]  4 As 2.59
Zn2 0.0000 0.0000 0.5000 [2 per cell]  4 As 2.63, 4 Zn 2.94
Zn3 0.0000 0.5000 0.5000 [2 per cell]  4 As 2.58
Ge1 0.0000 0.5000 0.0000 [2 per cell]  4 As 2.54
As1 0.2425 0.3972 0.7571 [8 per cell]  1 Ge 2.54, 3 Zn 2.58-2.63


No. 6
TbNiGe: optimized geometry, PBE.

## Properties
Formation energy from the elements ... -705 meV per atom
Magnetic moment ... 0.002 μB/f.u.

Cell lengths 10.2923, 4.1711, 6.9181 Å; angles 90.00, 131.83, 90.00 degrees
Closest atoms and distances in Å follow each position.
Space group C2/m (No. 12)
Inequivalent atoms, fractional coordinates:
Tb1 0.0488 0.0000 0.3089 [4 per cell]  6 Ni 2.97-3.24, 6 Ge 3.00-3.21
Ni1 0.1708 0.5000 0.7236 [4 per cell]  3 Ge 2.42-2.64
Ge1 0.1708 0.5000 0.1051 [4 per cell]  3 Ni 2.42-2.64


No. 7
Ba3LaIr2O9: optimized geometry, PBE.

## Properties
Formation energy from the elements ... -2495 meV per atom
Magnetic moment ... 0.060 μB/f.u.

Cell lengths 6.0249, 10.4275, 15.1699 Å; angles 90.00, 90.73, 90.00 degrees
Closest atoms and distances in Å follow each position.
Space group C2/c (No. 15)
Inequivalent atoms, fractional coordinates:
Ba1 0.0000 0.0009 0.2500 [4 per cell]  12 O 2.93-3.17
Ba2 0.0029 0.3332 0.6022 [8 per cell]  9 O 2.82-3.09
La1 0.0000 0.0000 0.0000 [4 per cell]  6 O 2.33-2.34
Ir1 0.0066 0.3330 0.1670 [8 per cell]  6 O 1.97-2.07
O1 0.0000 0.4910 0.2500 [4 per cell]  2 Ir 2.07
O2 0.0144 0.1771 0.0939 [8 per cell]  1 Ir 1.97
O3 0.2180 0.4081 0.4130 [8 per cell]  1 Ir 1.97
O4 0.2374 0.2555 0.2542 [8 per cell]  2 Ir 2.07
O5 0.2453 0.4098 0.0968 [8 per cell]  1 Ir 1.97


No. 8
LiAg3: optimized geometry, PBE.

## Properties
Formation energy from the elements ... -140 meV per atom

Cell lengths 5.7884, 5.7884, 4.7664 Å; angles 90.00, 90.00, 120.00 degrees
Closest atoms and distances in Å follow each position.
Space group P6_3/mmc (No. 194)
Inequivalent atoms, fractional coordinates:
Li1 0.3333 0.6667 0.2500 [2 per cell]  12 Ag 2.89-2.90
Ag1 0.1683 0.3366 0.7500 [6 per cell]  8 Ag 2.87-2.92, 4 Li 2.89-2.90


No. 9
Mg14CdSnO16: optimized geometry, PBE.

## Properties
Formation energy from the elements ... -2730 meV per atom
Magnetic moment ... 0.000 μB/f.u.
Energy above the lowest structure with this stoichiometry ... 0 meV/atom

Cell lengths 8.7362, 8.7362, 4.4064 Å; angles 90.00, 90.00, 90.00 degrees
Closest atoms and distances in Å follow each position.
Space group P4/mmm (No. 123)
Inequivalent atoms, fractional coordinates:
Mg1 0.0000 0.2540 0.0000 [4 per cell]  6 O 2.15-2.22
Mg2 0.0000 0.5000 0.5000 [2 per cell]  6 O 2.01-2.20
Mg3 0.2415 0.5000 0.0000 [4 per cell]  6 O 2.11-2.26
Mg4 0.2480 0.2480 0.5000 [4 per cell]  6 O 2.17-2.21
Cd1 0.0000 0.0000 0.5000 [1 per cell]  6 O 2.20-2.29
Sn1 0.5000 0.5000 0.5000 [1 per cell]  6 O 2.20-2.36
O1 0.0000 0.0000 0.0000 [1 per cell]  2 Cd 2.20, 4 Mg 2.22
O2 0.0000 0.2621 0.5000 [4 per cell]  5 Mg 2.08-2.20, 1 Cd 2.29
O3 0.0000 0.5000 0.0000 [2 per cell]  6 Mg 2.11-2.20
O4 0.2303 0.5000 0.5000 [4 per cell]  5 Mg 2.01-2.21
O5 0.2498 0.2498 0.0000 [4 per cell]  6 Mg 2.18-2.20
O6 0.5000 0.5000 0.0000 [1 per cell]  2 Sn 2.20, 4 Mg 2.26


No. 10
CeCoSi3: optimized geometry, PBE.

## Properties
Formation energy from the elements ... -664 meV per atom

Cell lengths 4.1100, 4.1100, 9.5057 Å; angles 90.00, 90.00, 90.00 degrees
Closest atoms and distances in Å follow each position.
Space group I4mm (No. 107)
Inequivalent atoms, fractional coordinates:
Ce1 0.0000 0.0000 0.0000 [2 per cell]  12 Si 2.99-3.21, 5 Co 3.22-3.28
Co1 0.0000 0.0000 0.6609 [2 per cell]  5 Si 2.25-2.26
Si1 0.0000 0.0000 0.4239 [2 per cell]  1 Co 2.25
Si2 0.0000 0.5000 0.2599 [4 per cell]  2 Co 2.26


No. 11
GaBH6: optimized geometry, PBE.

## Properties
Formation energy from the elements ... -93 meV per atom

Cell lengths 13.9421, 9.4081, 10.3713 Å; angles 90.00, 127.19, 90.00 degrees
Closest atoms and distances in Å follow each position.
Space group C2/c (No. 15)
Inequivalent atoms, fractional coordinates:
Ga1 0.0000 0.1778 0.2500 [4 per cell]  2 H 1.54
Ga2 0.1903 0.3899 0.7905 [8 per cell]  2 H 1.53-1.54
B1 0.0000 0.3420 0.7500 [4 per cell]  4 H 1.22-1.25
B2 0.1537 0.0624 0.5107 [8 per cell]  4 H 1.21-1.25
H1 0.0108 0.2691 0.6628 [8 per cell]  1 B 1.22
H2 0.0757 0.0124 0.3725 [8 per cell]  1 B 1.25
H3 0.0793 0.2352 0.2045 [8 per cell]  1 Ga 1.54
H4 0.0839 0.4261 0.8438 [8 per cell]  1 B 1.25
H5 0.1301 0.0131 0.5966 [8 per cell]  1 B 1.21
H6 0.1412 0.4758 0.6360 [8 per cell]  1 Ga 1.54
H7 0.1628 0.1910 0.5221 [8 per cell]  1 B 1.21
H8 0.2428 0.2490 0.1254 [8 per cell]  1 Ga 1.53
H9 0.2482 0.0204 0.5342 [8 per cell]  1 B 1.25


No. 12
U2SnIr2: optimized geometry, PBE.

## Properties
Formation energy from the elements ... -526 meV per atom

Cell lengths 7.6928, 7.6928, 3.5303 Å; angles 90.00, 90.00, 90.00 degrees
Closest atoms and distances in Å follow each position.
Space group P4/mbm (No. 127)
Inequivalent atoms, fractional coordinates:
U1 0.1698 0.3302 0.0000 [4 per cell]  6 Ir 2.77-2.94
Sn1 0.0000 0.0000 0.5000 [2 per cell]  4 Ir 3.00, 8 U 3.36
Ir1 0.1335 0.6335 0.5000 [4 per cell]  6 U 2.77-2.94, 1 Ir 2.90, 2 Sn 3.00


- What is the formula in the sixth record?
  TbNiGe